Entry 1:
{"formula": "GdGa2", "functional": "r2SCAN", "state": "optimized geometry", "ef_ev_per_atom": -0.74, "spacegroup": "P6/mmm", "lattice_angstrom": [[4.198, 0.000, 0.000], [-2.099, 3.636, 0.000], [0.000, 0.000, 4.180]], "species": ["Gd", "Ga", "Ga"], "frac_coords": [[0.000, 0.000, 0.000], [0.667, 0.333, 0.500], [0.333, 0.667, 0.500]]}

***

Entry 2:
{"formula": "YAg2", "functional": "r2SCAN", "state": "optimized geometry", "ef_ev_per_atom": -0.32, "spacegroup": "I4/mmm", "lattice_angstrom": [[3.720, 0.000, 0.000], [0.000, 3.720, 0.000], [-1.860, -1.860, 4.608]], "species": ["Y", "Ag", "Ag"], "frac_coords": [[0.000, 0.000, 0.000], [0.671, 0.671, 0.341], [0.329, 0.329, 0.659]]}

***

Entry 3:
{"formula": "TlPF6", "functional": "r2SCAN", "state": "optimized geometry", "ef_ev_per_atom": -2.65, "spacegroup": "Pa-3", "lattice_angstrom": [[7.737, 0.000, 0.000], [0.000, 7.737, 0.000], [0.000, 0.000, 7.737]], "species": ["Tl", "Tl", "Tl", "Tl", "P", "P", "P", "P", "F", "F", "F", "F", "F", "F", "F", "F", "F", "F", "F", "F", "F", "F", "F", "F", "F", "F", "F", "F", "F", "F", "F", "F"], "frac_coords": [[0.500, 0.500, 0.500], [0.000, 0.500, 0.000], [0.000, 0.000, 0.500], [0.500, 0.000, 0.000], [0.000, 0.000, 0.000], [0.500, 0.000, 0.500], [0.500, 0.500, 0.000], [0.000, 0.500, 0.500], [0.137, 0.142, 0.930], [0.930, 0.137, 0.142], [0.142, 0.930, 0.137], [0.358, 0.070, 0.637], [0.430, 0.363, 0.858], [0.858, 0.430, 0.363], [0.570, 0.863, 0.642], [0.070, 0.637, 0.358], [0.642, 0.570, 0.863], [0.637, 0.358, 0.070], [0.863, 0.642, 0.570], [0.363, 0.858, 0.430], [0.863, 0.858, 0.070], [0.070, 0.863, 0.858], [0.858, 0.070, 0.863], [0.642, 0.930, 0.363], [0.570, 0.637, 0.142], [0.142, 0.570, 0.637], [0.430, 0.137, 0.358], [0.930, 0.363, 0.642], [0.358, 0.430, 0.137], [0.363, 0.642, 0.930], [0.137, 0.358, 0.430], [0.637, 0.142, 0.570]]}